(1)
A relaxed Li4MnCo2O7 crystal, computed with PBE+U.

Lattice parameters (Å, degrees): 4.9935 5.0606 10.6219 84.15 80.21 72.74
Last column: nearest neighbours and their distance in Å.
Fractional coordinates of all 28 atoms:
O: 0.2827 0.2059 0.9960  1 Co 1.94, 2 Mn 1.98-2.07, 1 Li 2.11
Mn: 0.5803 0.9961 0.8519  6 O 1.90-2.07
Li: 0.3532 0.5026 0.2859  6 O 2.03-2.19
Co: 0.2798 0.0070 0.4358  3 O 1.79-1.89
Mn: 0.0034 0.9957 0.0003  4 O 1.94-1.98
Li: 0.7776 0.4962 0.4376  6 O 2.09-2.23
O: 0.5009 0.2299 0.4289  1 Co 1.79
Li: 0.6472 0.5018 0.7061  6 O 2.11-2.20
O: 0.0473 0.7835 0.4182  2 Co 1.88-1.89
O: 0.4456 0.7611 0.5603  1 Co 1.85, 2 Li 1.99-2.07
Li: 0.7081 0.0026 0.5720  6 O 2.04-2.25
Li: 0.5039 0.5010 0.9999  6 O 2.08-2.15
O: 0.0902 0.2327 0.2922  2 Co 1.89-2.01, 1 Li 2.06
O: 0.8742 0.7909 0.7278  1 Co 1.92, 1 Mn 1.92, 2 Li 2.02-2.04
Li: 0.9181 0.5087 0.1504  5 O 2.06-2.15
O: 0.6128 0.7740 0.2792  2 Co 1.91-1.93, 1 Li 2.11
O: 0.8082 0.2346 0.8691  2 Mn 1.93-1.94, 2 Li 2.12-2.13
O: 0.3865 0.2300 0.7248  1 Mn 1.90, 1 Co 1.95, 1 Li 2.11
Co: 0.8533 0.0046 0.2897  4 O 1.88-1.93
Li: 0.0759 0.4987 0.8510  6 O 2.02-2.19
O: 0.1982 0.7643 0.1346  1 Co 1.91, 1 Mn 1.95, 2 Li 2.08-2.14
O: 0.9787 0.2360 0.5799  1 Co 1.85, 2 Li 2.01-2.06
O: 0.3350 0.7697 0.8439  1 Mn 1.93, 1 Co 1.96, 2 Li 2.14-2.15
O: 0.6730 0.2277 0.1526  2 Co 1.92-1.93, 2 Li 2.13-2.14
O: 0.7635 0.7588 0.9920  2 Mn 1.95-1.98, 2 Li 2.08-2.11
Co: 0.1414 0.0020 0.7089  4 O 1.85-1.96
Co: 0.4345 0.9960 0.1439  4 O 1.91-1.94
Li: 0.2269 0.4879 0.5672  5 O 1.99-2.18

## Properties
Total magnetization (μB per formula unit): 1.0
ΔH_f (0 K) (eV per atom): -1.7039
ΔE to the lowest computed polymorph (eV per atom): 0.1800

=====

(2)
A relaxed Li4MnCo2O7 crystal, computed with PBE+U.

Lattice parameters (Å, degrees): 9.8233 9.8233 9.7705 65.68 65.68 17.14
Last column: nearest neighbours and their distance in Å.
Fractional coordinates of all 28 atoms:
O: 0.7457 0.7457 0.2469  3 Co 2.02-2.04, 3 Li 2.15-2.22
O: 0.0273 0.0273 0.1241  1 Mn 1.82, 2 Li 2.02
O: 0.1711 0.1711 0.5389  2 Co 2.01, 1 Mn 2.07, 3 Li 2.14-2.22
O: 0.9727 0.9727 0.8759  1 Mn 1.82, 2 Li 2.02
Li: 0.7131 0.7131 0.6445  6 O 2.06-2.22
Li: 0.5000 0.5000 0.0000  6 O 2.10
O: 0.3173 0.3173 0.9606  3 Co 2.02-2.06, 3 Li 2.13-2.16
O: 0.6038 0.6038 0.8084  2 Mn 1.94, 2 Li 2.06-2.10
Li: 0.8619 0.8619 0.0644  6 O 2.16-2.22
O: 0.5414 0.5414 0.6150  2 Mn 2.00, 1 Co 2.06, 3 Li 2.13-2.19
Li: 0.2869 0.2869 0.3555  6 O 2.06-2.22
Mn: 0.9324 0.9324 0.2750  5 O 1.82-2.00
Li: 0.1381 0.1381 0.9356  6 O 2.16-2.22
O: 0.8289 0.8289 0.4611  2 Co 2.01, 1 Mn 2.07, 3 Li 2.14-2.22
Co: 0.7859 0.7859 0.8567  6 O 2.02-2.06
O: 0.6827 0.6827 0.0394  3 Co 2.02-2.06, 3 Li 2.13-2.16
Co: 0.3564 0.3564 0.5711  6 O 2.00-2.06
O: 0.3962 0.3962 0.1916  2 Mn 1.94, 2 Li 2.06-2.10
Co: 0.2141 0.2141 0.1433  6 O 2.02-2.06
O: 0.1115 0.1115 0.3291  3 Co 2.00-2.06, 3 Li 2.11-2.23
Co: 0.6436 0.6436 0.4289  6 O 2.00-2.06
Mn: 0.0676 0.0676 0.7250  5 O 1.82-2.00
O: 0.2543 0.2543 0.7531  3 Co 2.02-2.04, 3 Li 2.15-2.22
O: 0.4586 0.4586 0.3850  2 Mn 2.00, 1 Co 2.06, 3 Li 2.13-2.19
Li: 0.0000 0.0000 0.5000  6 O 2.11-2.19
O: 0.8885 0.8885 0.6709  3 Co 2.00-2.06, 3 Li 2.11-2.23
Li: 0.4302 0.4302 0.7914  6 O 2.02-2.23
Li: 0.5698 0.5698 0.2086  6 O 2.02-2.23

## Properties
Total magnetization (μB per formula unit): 3.0
ΔH_f (0 K) (eV per atom): -1.8680
ΔE to the lowest computed polymorph (eV per atom): 0.0160

=====

(3)
A relaxed Li7Mn2Co3O12 crystal, computed with PBE+U.

Lattice parameters (Å, degrees): 7.7141 7.7141 10.1663 72.95 72.95 22.09
Last column: nearest neighbours and their distance in Å.
Fractional coordinates of all 24 atoms:
O: 0.0907 0.0907 0.1032  3 Mn 1.98-1.99
Li: 0.4934 0.4934 0.2719  4 O 1.94-2.09
Li: 0.8280 0.8280 0.2654  2 O 1.95
O: 0.0724 0.0724 0.6145  1 Co 1.76
Li: 0.1744 0.1744 0.7228  4 O 1.99-2.15
O: 0.7533 0.7533 0.6209  4 Li 1.98-2.07, 2 Co 2.01
Li: 0.4980 0.4980 0.7378  6 O 2.01-2.23
O: 0.9220 0.9220 0.3924  1 Co 1.90, 2 Li 2.02
O: 0.2347 0.2347 0.8884  2 Mn 1.95, 1 Co 2.13, 1 Li 2.14
Li: 0.6677 0.6677 0.4959  6 O 2.03-2.16
Co: 0.3325 0.3325 0.0019  6 O 2.08-2.14
O: 0.5778 0.5778 0.3830  4 Li 1.94-2.10, 2 Co 2.01
Mn: 0.6683 0.6683 0.9993  6 O 1.88-2.01
Co: 0.3255 0.3255 0.5023  4 O 1.82-2.03
Mn: 0.9984 0.9984 0.9994  6 O 1.88-1.99
O: 0.5752 0.5752 0.8939  3 Mn 1.99-2.01
O: 0.4166 0.4166 0.6135  3 Li 2.01-2.04, 3 Co 2.03-2.09
O: 0.4323 0.4323 0.1125  2 Mn 1.95, 1 Li 2.09, 1 Co 2.14
O: 0.7455 0.7455 0.1136  1 Mn 1.88, 2 Co 2.08
Co: 0.0052 0.0052 0.5003  2 O 1.76-1.90
Li: 0.8401 0.8401 0.7325  3 O 1.98-2.04
O: 0.2618 0.2618 0.3762  1 Co 1.82, 3 Li 1.95-2.04
Li: 0.1673 0.1673 0.2700  5 O 2.04-2.23
O: 0.9191 0.9191 0.8883  1 Mn 1.88, 2 Co 2.08

## Properties
Total magnetization (μB per formula unit): 8.8
ΔH_f (0 K) (eV per atom): -1.7802
ΔE to the lowest computed polymorph (eV per atom): 0.1532

=====

(4)
A relaxed Li4MnCo3O8 crystal, computed with PBE+U.

Lattice parameters (Å, degrees): 2.9815 4.9495 9.9358 78.48 90.00 90.00
Last column: nearest neighbours and their distance in Å.
Fractional coordinates of all 16 atoms:
Li: 0.0000 0.2529 0.2573  6 O 2.07-2.31
O: 0.0000 0.1365 0.6179  3 Co 1.94-2.09, 3 Li 2.07-2.13
O: 0.5000 0.6374 0.6179  3 Co 1.94-2.09, 3 Li 2.08-2.09
Li: 0.5000 0.2505 0.7490  6 O 2.09-2.17
O: 0.5000 0.1250 0.1038  1 Mn 1.94, 2 Co 1.98, 1 Li 2.12
Co: 0.0000 0.0000 0.0000  6 O 1.94-1.98
Li: 0.0000 0.7471 0.7427  6 O 2.07-2.31
Li: 0.5000 0.7495 0.2510  6 O 2.09-2.17
O: 0.5000 0.3626 0.3821  3 Co 1.94-2.09, 3 Li 2.08-2.09
Mn: 0.5000 0.5000 0.0000  6 O 1.94-2.06
O: 0.5000 0.8750 0.8962  1 Mn 1.94, 2 Co 1.98, 1 Li 2.12
O: 0.0000 0.8635 0.3821  3 Co 1.94-2.09, 3 Li 2.07-2.13
Co: 0.5000 0.0000 0.5000  6 O 1.94-2.09
O: 0.0000 0.3667 0.8856  1 Co 1.94, 2 Mn 2.06, 3 Li 2.12-2.17
O: 0.0000 0.6333 0.1144  1 Co 1.94, 2 Mn 2.06, 3 Li 2.12-2.17
Co: 0.0000 0.5000 0.5000  6 O 1.94-2.09

## Properties
Total magnetization (μB per formula unit): 11.6
ΔH_f (0 K) (eV per atom): -1.7698
ΔE to the lowest computed polymorph (eV per atom): 0.0262